Record 1
# MgCr2F12 meta-GGA r2SCAN relaxed
data_MgCr2F12
_cell_length_a 4.904
_cell_length_b 5.206
_cell_length_c 8.512
_cell_angle_alpha 73.84
_cell_angle_beta 89.86
_cell_angle_gamma 62.39
_space_group_name_H-M_alt 'P -1'
_space_group_IT_number 2
_space_group_name_Hall '-P 1'
loop_
_atom_site_label
_atom_site_type_symbol
_atom_site_fract_x
_atom_site_fract_y
_atom_site_fract_z
_atom_site_occupancy
Mg1 Mg 0.000 0.000 0.000 1
Cr1 Cr 0.256 0.509 0.739 1
F1 F 0.017 0.736 0.867 1
F2 F 0.035 0.269 0.427 1
F3 F 0.074 0.266 0.806 1
F4 F 0.428 0.738 0.700 1
F5 F 0.454 0.740 0.072 1
F6 F 0.497 0.268 0.637 1
# VASP energy ... -7.43 eV/atom
# Total magnetic moment ... 0.133 μB/atom



Record 2
# AsSe meta-GGA r2SCAN relaxed
data_AsSe
_cell_length_a 6.919
_cell_length_b 14.385
_cell_length_c 10.245
_cell_angle_alpha 90.00
_cell_angle_beta 113.20
_cell_angle_gamma 90.00
_space_group_name_H-M_alt 'P 1 21/c 1'
_space_group_IT_number 14
_space_group_name_Hall '-P 2ybc'
loop_
_atom_site_label
_atom_site_type_symbol
_atom_site_fract_x
_atom_site_fract_y
_atom_site_fract_z
_atom_site_occupancy
As1 As 0.042 0.143 0.425 1
As2 As 0.143 0.010 0.881 1
As3 As 0.182 0.663 0.456 1
As4 As 0.362 0.626 0.175 1
Se1 Se 0.084 0.234 0.244 1
Se2 Se 0.142 0.001 0.346 1
Se3 Se 0.405 0.023 0.785 1
Se4 Se 0.462 0.711 0.392 1
# VASP energy ... -14.63 eV/atom
# Total magnetic moment ... 0.000 μB/atom



Which value of VASP energy does entry 2 give? -14.63 eV/atom



Which of these has the lowest VASP energy? AsSe



VASP energy of number 1 (MgCr2F12)? -7.43 eV/atom



Which of these has the highest total magnetic moment? MgCr2F12